Entry 1:
# Li12Mn3V5P12O48

Crystalline Li12Mn3V5P12O48 at its relaxed geometry (PBE with a Hubbard U, Materials Project).

abc: 8.7067 8.7293 12.1932
angles: 90.23 90.52 90.04
Fractional positions:
1 Li 0.0000 0.0000 0.0000
2 Li 0.0017 0.3840 0.0616
3 Li 0.1301 0.3011 0.4773
4 Li 0.2204 0.8010 0.6233
5 Li 0.3496 0.8840 0.0415
6 Li 0.3527 0.4998 0.1035
7 Li 0.5023 0.6642 0.4981
8 Li 0.5114 0.2743 0.5632
9 Li 0.6348 0.3586 0.9780
10 Li 0.7175 0.8615 0.1273
11 Li 0.8400 0.7782 0.5387
12 Li 0.8460 0.1592 0.6018
13 Mn 0.6718 0.0385 0.9107
14 Mn 0.6719 0.1127 0.4039
15 Mn 0.6789 0.5409 0.1934
16 V 0.1715 0.5542 0.9103
17 V 0.1719 0.6206 0.4104
18 V 0.1803 0.0540 0.1930
19 V 0.1806 0.1188 0.6915
20 V 0.6799 0.6094 0.6931
21 P 0.0299 0.6991 0.1536
22 P 0.0308 0.9754 0.4490
23 P 0.3205 0.1984 0.9490
24 P 0.3201 0.4774 0.6540
25 P 0.3861 0.3356 0.3103
26 P 0.4575 0.8342 0.2970
27 P 0.5291 0.9632 0.6599
28 P 0.5297 0.6790 0.9501
29 P 0.8234 0.4642 0.4491
30 P 0.8238 0.1788 0.1469
31 P 0.8904 0.3323 0.8065
32 P 0.9635 0.8328 0.7926
33 O 0.9996 0.4930 0.4683
34 O 0.0050 0.1843 0.1502
35 O 0.0371 0.7116 0.8694
36 O 0.0725 0.8675 0.1230
37 O 0.0742 0.0957 0.5408
38 O 0.0744 0.6686 0.2740
39 O 0.0890 0.8129 0.4850
40 O 0.0968 0.9124 0.7309
41 O 0.0989 0.0294 0.3417
42 O 0.1196 0.5806 0.0807
43 O 0.2308 0.0795 0.0203
44 O 0.2498 0.4172 0.3687
45 O 0.2508 0.5278 0.7619
46 O 0.2672 0.3148 0.6162
47 O 0.2753 0.1669 0.8279
48 O 0.2771 0.3672 0.9792
49 O 0.2788 0.5977 0.5633
50 O 0.3133 0.2125 0.2334
51 O 0.3489 0.6857 0.9474
52 O 0.3500 0.9041 0.2069
53 O 0.3541 0.9880 0.6359
54 O 0.3672 0.7127 0.3669
55 O 0.4691 0.4466 0.2338
56 O 0.4884 0.2675 0.4007
57 O 0.4932 0.1795 0.9711
58 O 0.4994 0.4710 0.6558
59 O 0.5162 0.9506 0.3812
60 O 0.5581 0.9790 0.7831
61 O 0.5665 0.7934 0.6242
62 O 0.5677 0.5537 0.0361
63 O 0.5774 0.8389 0.9930
64 O 0.5907 0.7579 0.2368
65 O 0.6006 0.6345 0.8404
66 O 0.6235 0.0818 0.5950
67 O 0.7314 0.5826 0.5214
68 O 0.7520 0.1268 0.2523
69 O 0.7555 0.2555 0.8641
70 O 0.7779 0.3400 0.1071
71 O 0.7863 0.0552 0.0572
72 O 0.7857 0.4880 0.3288
73 O 0.7879 0.2981 0.4856
74 O 0.8192 0.4537 0.7277
75 O 0.8537 0.9638 0.4492
76 O 0.8569 0.6788 0.1325
77 O 0.8567 0.7596 0.7046
78 O 0.8814 0.9469 0.8674
79 O 0.9788 0.2185 0.7324
80 O 0.9978 0.4054 0.8944

The calculated density comes out at 2.94 Mg/m³. Its energy is -564.248 eV per cell. As for the space group: P1 (1).

Entry 2:
# Li2MnVP4O14

Crystalline Li2MnVP4O14 at its relaxed geometry (PBE with a Hubbard U, Materials Project).

abc: 4.8670 8.3433 20.1068
angles: 89.58 84.42 89.77
Fractional positions:
1 Li 0.0000 0.0000 0.0000
2 Li 0.0942 0.4983 0.4488
3 Li 0.3323 0.0002 0.3337
4 Li 0.4294 0.4988 0.7821
5 Li 0.6661 0.9989 0.6664
6 Li 0.7618 0.4990 0.1152
7 Mn 0.0179 0.3601 0.9802
8 Mn 0.0750 0.8577 0.4672
9 Mn 0.6853 0.3574 0.6485
10 V 0.3513 0.3605 0.3149
11 V 0.4086 0.8589 0.7997
12 V 0.7413 0.8611 0.1338
13 P 0.1527 0.1802 0.7318
14 P 0.1972 0.5682 0.5878
15 P 0.2320 0.0761 0.1956
16 P 0.2710 0.6788 0.0523
17 P 0.4869 0.1817 0.0644
18 P 0.5277 0.5749 0.9206
19 P 0.5629 0.0692 0.5278
20 P 0.6060 0.6798 0.3841
21 P 0.8214 0.1790 0.3971
22 P 0.8601 0.5758 0.2532
23 P 0.8965 0.0708 0.8620
24 P 0.9394 0.6774 0.7182
25 O 0.0102 0.4198 0.5884
26 O 0.0183 0.3219 0.3858
27 O 0.0325 0.2051 0.8087
28 O 0.0592 0.6992 0.6404
29 O 0.0733 0.8227 0.0634
30 O 0.0860 0.9229 0.8613
31 O 0.1266 0.5178 0.0598
32 O 0.1442 0.5347 0.2740
33 O 0.1899 0.6837 0.7592
34 O 0.2149 0.6513 0.5200
35 O 0.2207 0.1633 0.2621
36 O 0.2421 0.1846 0.0210
37 O 0.2750 0.0287 0.5076
38 O 0.2995 0.0174 0.7259
39 O 0.3438 0.4254 0.9193
40 O 0.3538 0.3209 0.7184
41 O 0.3668 0.2075 0.1413
42 O 0.3904 0.7022 0.9745
43 O 0.4040 0.8212 0.3978
44 O 0.4196 0.9275 0.1960
45 O 0.4595 0.5178 0.3894
46 O 0.4858 0.5278 0.6078
47 O 0.5212 0.6855 0.0932
48 O 0.5406 0.6638 0.8539
49 O 0.5455 0.1520 0.5950
50 O 0.5717 0.1851 0.3559
51 O 0.6156 0.0313 0.8393
52 O 0.6337 0.0190 0.0594
53 O 0.6744 0.4276 0.2527
54 O 0.6868 0.3231 0.0509
55 O 0.7011 0.2004 0.4748
56 O 0.7245 0.7072 0.3071
57 O 0.7417 0.8212 0.7292
58 O 0.7522 0.9198 0.5274
59 O 0.7948 0.5167 0.7268
60 O 0.8190 0.5331 0.9387
61 O 0.8516 0.6822 0.4272
62 O 0.8727 0.6636 0.1863
63 O 0.8782 0.1532 0.9294
64 O 0.9081 0.1833 0.6884
65 O 0.9488 0.0345 0.1749
66 O 0.9672 0.0171 0.3891

The calculated density comes out at 2.87 Mg/m³. Its energy is -475.091 eV per cell. As for the space group: P1 (1).

Entry 3:
# Li2MnVP4O14

Crystalline Li2MnVP4O14 at its relaxed geometry (PBE with a Hubbard U, Materials Project).

abc: 7.0689 8.3365 9.7022
angles: 90.00 108.76 90.00
Fractional positions:
1 Li 0.1690 0.0000 0.0853
2 Li 0.1731 0.9987 0.5906
3 Li 0.8269 0.4987 0.4094
4 Li 0.8310 0.5000 0.9147
5 Mn 0.2307 0.6418 0.1081
6 Mn 0.7693 0.1418 0.8919
7 V 0.2266 0.6392 0.6052
8 V 0.7734 0.1392 0.3948
9 P 0.0180 0.3198 0.1991
10 P 0.0230 0.3208 0.7010
11 P 0.4112 0.4303 0.8947
12 P 0.4118 0.4240 0.3904
13 P 0.5882 0.9240 0.6096
14 P 0.5888 0.9303 0.1053
15 P 0.9770 0.8208 0.2990
16 P 0.9820 0.8198 0.8009
17 O 0.0043 0.9816 0.8756
18 O 0.0071 0.4813 0.6218
19 O 0.0146 0.6786 0.4052
20 O 0.0213 0.6768 0.9074
21 O 0.1014 0.8127 0.6935
22 O 0.1085 0.8180 0.1997
23 O 0.2502 0.2949 0.2957
24 O 0.2521 0.2968 0.8014
25 O 0.3519 0.4672 0.5232
26 O 0.3521 0.4707 0.0293
27 O 0.3882 0.8479 0.0672
28 O 0.3890 0.8363 0.5690
29 O 0.4047 0.5788 0.7994
30 O 0.4133 0.5742 0.2979
31 O 0.5867 0.0742 0.7021
32 O 0.5953 0.0788 0.2006
33 O 0.6110 0.3363 0.4310
34 O 0.6118 0.3479 0.9328
35 O 0.6481 0.9672 0.4768
36 O 0.6479 0.9707 0.9707
37 O 0.7479 0.7968 0.1986
38 O 0.7498 0.7949 0.7043
39 O 0.8915 0.3180 0.8003
40 O 0.8986 0.3127 0.3065
41 O 0.9787 0.1768 0.0926
42 O 0.9854 0.1786 0.5948
43 O 0.9929 0.9813 0.3782
44 O 0.9957 0.4816 0.1244

The calculated density comes out at 2.87 Mg/m³. Its energy is -316.723 eV per cell. As for the space group: P2_1 (4).

Entry 4:
# Li3MnVP3O12

Crystalline Li3MnVP3O12 at its relaxed geometry (PBE with a Hubbard U, Materials Project).

abc: 8.6519 8.6519 6.3349
angles: 105.90 105.90 95.19
Fractional positions:
1 Li 0.0000 0.0000 0.0000
2 Li 0.2876 0.7124 0.5000
3 Li 0.4978 0.4997 0.7470
4 Li 0.5003 0.5022 0.2530
5 Li 0.7093 0.2907 0.0000
6 Li 0.9944 0.0056 0.5000
7 Mn 0.3730 0.0594 0.3801
8 Mn 0.9406 0.6270 0.6199
9 V 0.0553 0.3794 0.8916
10 V 0.6206 0.9447 0.1084
11 P 0.1327 0.3364 0.3861
12 P 0.2853 0.7147 0.0000
13 P 0.3375 0.1403 0.8855
14 P 0.6636 0.8673 0.6139
15 P 0.7122 0.2878 0.5000
16 P 0.8597 0.6625 0.1145
17 O 0.0087 0.3460 0.1610
18 O 0.0507 0.3918 0.5798
19 O 0.1438 0.1514 0.3440
20 O 0.1557 0.1597 0.8621
21 O 0.1703 0.7386 0.7781
22 O 0.2614 0.8297 0.2219
23 O 0.2617 0.5407 0.0228
24 O 0.2940 0.4530 0.4548
25 O 0.3348 0.0167 0.6531
26 O 0.3990 0.0494 0.0729
27 O 0.4557 0.3001 0.9574
28 O 0.4593 0.7383 0.9772
29 O 0.5353 0.2632 0.5174
30 O 0.5470 0.7060 0.5452
31 O 0.6082 0.9493 0.4202
32 O 0.6540 0.9913 0.8390
33 O 0.6999 0.5443 0.0426
34 O 0.7368 0.4647 0.4826
35 O 0.7390 0.1757 0.2809
36 O 0.8243 0.2610 0.7191
37 O 0.8403 0.8443 0.1379
38 O 0.8486 0.8562 0.6560
39 O 0.9506 0.6010 0.9271
40 O 0.9833 0.6652 0.3469

The calculated density comes out at 3.17 Mg/m³. Its energy is -280.397 eV per cell. As for the space group: C2 (5).